Entry from the Materials Project: an optimized crystal structure of Ti2FeNiSb2 (PBE-GGA).

Cell and atoms, written as extended XYZ:
```
6
Lattice="2.1045 1.2151 6.8009 -2.1045 1.2151 6.8009 0.0000 -2.4301 6.8009" Properties=species:S:1:pos:R:3 pbc="T T T"
Ti 0.0000 0.0000 0.0000
Ti 0.0000 0.0000 10.0610
Fe 0.0000 0.0000 7.6446
Ni 0.0000 0.0000 17.7693
Sb 0.0000 0.0000 5.0731
Sb 0.0000 0.0000 15.1920
```

Calculated values
Total magnetization ... 0.00 μB/f.u.
Energy of formation ... -0.64 eV per atom
Crystal system ... trigonal
E (MP2020) ... -42.2 eV per formula unit
Piezoelectric modulus e_max ... 1.38 C/m2

=====

Entry from the Materials Project: an optimized crystal structure of Ba3Y2Br12 (PBE-GGA).

Cell and atoms, written as extended XYZ:
```
68
Lattice="13.5021 0.0000 0.0000 0.0000 13.0082 0.0000 -13.1786 0.0000 13.8919" Properties=species:S:1:pos:R:3 pbc="T T T"
Ba -0.3169 2.8609 2.7203
Ba -6.9062 3.6432 9.6663
Ba -9.0380 6.6279 13.5502
Ba -2.4487 12.8843 6.6042
Ba -0.1240 7.9373 4.2952
Ba -6.7133 11.5749 11.2412
Ba 7.0368 1.4333 2.6507
Ba 0.4475 5.0708 9.5967
Ba 2.7722 0.1238 7.2876
Ba 9.3615 6.3802 0.3417
Ba 7.2296 9.3650 4.2256
Ba 0.6403 10.1473 11.1716
Y -10.6365 1.9472 12.9814
Y -4.0472 4.5569 6.0355
Y -3.9446 8.8004 8.9650
Y 2.6447 10.7119 2.0190
Y -2.3212 2.2963 11.8728
Y 4.2681 4.2078 4.9269
Y 4.3707 8.4513 7.8564
Y 10.9599 11.0610 0.9104
Br -3.3624 2.6041 4.2094
Br -9.9517 3.8999 11.1554
Br -7.8493 0.6061 8.9895
Br -1.2600 5.8980 2.0436
Br -8.3761 6.7815 9.8941
Br -1.7868 12.7308 2.9482
Br 0.1166 9.7498 1.0708
Br -6.4727 9.7625 8.0168
Br 1.5697 0.2953 1.2028
Br -5.0196 6.2088 8.1487
Br -3.1216 9.4133 6.3166
Br -9.7109 10.0990 13.2626
Br -4.0531 2.5415 7.9770
Br 2.5362 3.9625 1.0310
Br -8.0565 1.0330 13.4008
Br -1.4672 5.4710 6.4549
Br -5.3789 8.5163 11.3401
Br 1.2104 10.9959 4.3942
Br 3.0377 8.0448 2.6674
Br -3.5516 11.4674 9.6133
Br 0.1826 1.6159 5.7618
Br -6.4066 4.8882 12.7077
Br -4.9165 1.4538 11.3895
Br 1.6728 5.0503 4.4436
Br -1.3493 7.9578 9.4483
Br 5.2400 11.5544 2.5024
Br 6.7301 8.1200 1.1842
Br 0.1408 11.3922 8.1301
Br 3.8751 1.5407 4.2786
Br -2.7142 4.9633 11.2245
Br -0.8869 2.0122 9.4977
Br 5.7024 4.4918 2.5518
Br 1.7906 7.5371 7.4370
Br 8.3799 11.9751 0.4910
Br -2.2128 9.0456 12.8609
Br 4.3765 10.4666 5.9149
Br 10.0343 2.9092 0.6293
Br 3.4450 3.5949 7.5752
Br 5.3431 6.7994 5.7432
Br -1.2462 12.7129 12.6891
Br 6.7961 3.2457 5.8751
Br 0.2068 3.2584 12.8211
Br 2.1102 0.2774 10.9437
Br 8.6995 6.2267 3.9977
Br 1.5835 7.1102 11.8483
Br 8.1727 12.4021 4.9023
Br 10.2752 9.1082 2.7365
Br 3.6859 10.4040 9.6825
```

Calculated values
Total magnetization ... 0.00 μB/f.u.
Relative energy among the computed polymorphs ... 0 meV per atom
Energy of formation ... -2.40 eV per atom
Crystal system ... monoclinic
E (MP2020) ... -79.1 eV per formula unit

=====

Entry from the Materials Project: an optimized crystal structure of PrNi5 (PBE-GGA).

Cell and atoms, written as extended XYZ:
```
6
Lattice="4.9707 0.0000 0.0000 -2.4854 4.3048 0.0000 0.0000 0.0000 3.9611" Properties=species:S:1:pos:R:3 pbc="T T T"
Pr 0.0000 0.0000 0.0000
Ni -1.2427 2.1524 1.9806
Ni 0.0000 2.8698 0.0000
Ni 2.4854 0.0000 1.9806
Ni 1.2427 2.1524 1.9806
Ni 2.4854 1.4349 0.0000
```

Calculated values
Energy of formation ... -0.26 eV per atom
Crystal system ... hexagonal

=====

Entry from the Materials Project: an optimized crystal structure of ThSnPt (PBE-GGA).

Cell and atoms, written as extended XYZ:
```
3
Lattice="0.0000 3.4101 3.4101 3.4101 0.0000 3.4101 3.4101 3.4101 0.0000" Properties=species:S:1:pos:R:3 pbc="T T T"
Th 0.0000 0.0000 0.0000
Sn 3.4101 3.4101 3.4101
Pt 1.7051 1.7051 1.7051
```

Calculated values
Energy of formation ... -1.07 eV per atom
Crystal system ... cubic
Piezoelectric modulus e_max ... 0.49 C/m2

=====

Entry from the Materials Project: an optimized crystal structure of Sc3TaP2S4O24 (PBE-GGA).

Cell and atoms, written as extended XYZ:
```
102
Lattice="8.8444 0.0000 0.0000 4.4099 7.6697 0.0000 0.0141 0.0171 22.8268" Properties=species:S:1:pos:R:3 pbc="T T T"
Sc 0.0000 0.0000 0.0000
Sc 0.0247 0.0369 6.5477
Sc 4.3273 2.6461 18.9673
Sc 4.3288 2.5941 14.1499
Sc 4.3594 2.6033 2.7501
Sc 4.3650 2.5316 7.6027
Sc 8.7561 5.1404 21.7558
Sc 8.7999 5.1691 10.4366
Sc 8.8417 0.1041 17.9853
Ta 8.7420 5.2062 3.7565
Ta 8.8333 5.1345 15.1583
Ta 8.8203 0.0556 11.5042
P 1.8467 2.6185 16.5845
P 3.1325 0.4150 5.1687
P 6.2531 5.1485 1.3470
P 7.5556 7.3382 12.7754
P 7.5355 2.9827 12.7733
P 11.3287 5.1669 12.7652
S 3.0703 4.8141 5.1655
S 5.6321 5.5248 8.9986
S 2.5358 0.0683 20.3975
S 5.6925 4.8325 16.5779
S 5.6621 0.3722 16.5800
S 6.9509 2.6195 5.1693
S 10.0670 7.3446 1.3675
S 7.5203 2.2504 20.4018
S 6.3142 0.0524 8.9925
S 10.0533 2.9774 1.3771
S 10.0623 2.2365 8.9988
S 11.9617 5.5235 20.4015
O 3.5993 6.1719 5.3686
O 0.8936 1.4473 16.8172
O 0.9414 1.3633 10.1984
O 3.7231 6.1581 21.6094
O 3.2524 3.9776 6.3677
O 2.6958 2.9161 17.8311
O 2.6544 2.8385 1.5981
O 3.4370 4.0374 13.0295
O 3.6902 4.2151 3.9793
O 2.7079 2.4121 15.3513
O 3.7427 4.1921 20.2350
O 2.6885 2.3396 8.8646
O 5.0257 6.2160 10.1994
O 1.6920 0.2878 21.6030
O 1.6442 0.1625 5.3950
O 5.1432 6.1774 16.7855
O 5.9789 7.4598 12.5271
O 5.3823 6.3583 7.8022
O 5.4258 6.4233 1.2302
O 6.1029 7.5108 19.2086
O 4.9860 4.2082 8.8437
O 3.3934 1.2554 20.2167
O 3.3922 1.2581 3.9342
O 5.1087 4.2171 15.3885
O 3.6763 1.0541 13.0168
O 5.4083 3.9264 1.6643
O 3.8113 1.0039 6.4212
O 5.5418 3.9905 17.7794
O 7.0748 5.3925 9.1810
O 7.8073 6.5488 20.5817
O 7.7710 6.4205 14.0147
O 7.2364 5.3360 2.6193
O 8.1322 6.7030 11.5253
O 7.1920 4.9885 16.3377
O 7.1680 4.9319 0.1536
O 8.1924 6.6491 4.8855
O 6.1489 2.9220 6.3685
O 5.0447 0.9825 1.6084
O 5.0286 0.9437 17.7802
O 6.0885 2.7412 13.0739
O 6.0705 2.4086 20.2014
O 6.1273 2.4170 3.9782
O 5.4498 1.1955 15.3905
O 5.5024 1.2868 8.8685
O 9.4365 6.6765 16.3351
O 7.7977 3.8085 11.5318
O 9.4663 6.7161 0.1962
O 7.8517 3.8301 4.9218
O 9.7873 6.4665 2.5958
O 8.1478 3.5874 20.5669
O 9.8732 6.5508 9.1770
O 8.2423 3.6453 14.0121
O 7.7738 1.4258 21.6111
O 7.8431 1.4735 5.3707
O 7.0997 0.1402 16.7834
O 7.2090 0.2333 10.1972
O 8.1346 1.6246 19.2101
O 11.5594 7.5366 7.7935
O 11.5239 7.4506 1.2709
O 10.4155 5.4437 14.0097
O 8.2433 1.5700 12.5281
O 9.4653 3.6705 2.5957
O 9.4655 3.5534 9.1831
O 10.5060 5.3658 20.6033
O 9.7758 3.8974 16.2930
O 10.4292 4.9532 4.9059
O 10.4797 4.9701 11.5277
O 9.8388 3.8116 0.1941
O 9.4058 1.6677 1.2628
O 12.1992 6.4819 12.5313
O 12.1978 6.3512 19.2068
O 9.4760 1.6061 7.8002
```

Calculated values
Total magnetization ... 0.00 μB/f.u.
Energy of formation ... -2.72 eV per atom
Crystal system ... triclinic
E (MP2020) ... -269.6 eV per formula unit

=====

Entry from the Materials Project: an optimized crystal structure of ScNbTc2 (PBE-GGA).

Cell and atoms, written as extended XYZ:
```
4
Lattice="0.0000 3.2132 3.2132 3.2132 0.0000 3.2132 3.2132 3.2132 0.0000" Properties=species:S:1:pos:R:3 pbc="T T T"
Sc 0.0000 0.0000 0.0000
Nb 3.2132 3.2132 3.2132
Tc 1.6066 1.6066 1.6066
Tc 4.8198 4.8198 4.8198
```

Calculated values
Energy of formation ... -0.26 eV per atom
Crystal system ... cubic

=====

Entry from the Materials Project: an optimized crystal structure of Cs2LiPdF6 (PBE-GGA).

Cell and atoms, written as extended XYZ:
```
10
Lattice="0.0000 4.3709 4.3709 4.3709 0.0000 4.3709 4.3709 4.3709 0.0000" Properties=species:S:1:pos:R:3 pbc="T T T"
Cs 2.1854 2.1854 2.1854
Cs 6.5563 6.5563 6.5563
Li 0.0000 0.0000 0.0000
Pd 4.3709 4.3709 4.3709
F 4.3709 4.3709 2.2779
F 4.3709 2.2779 4.3709
F 6.4638 4.3709 4.3709
F 2.2779 4.3709 4.3709
F 4.3709 6.4638 4.3709
F 4.3709 4.3709 6.4638
```

Calculated values
Total magnetization ... 1.00 μB/f.u.
Energy of formation ... -2.47 eV per atom
Crystal system ... cubic
E (MP2020) ... -45.0 eV per formula unit

=====

Entry from the Materials Project: an optimized crystal structure of Pr12InPt7 (PBE-GGA).

Cell and atoms, written as extended XYZ:
```
40
Lattice="-6.1118 6.1118 7.3569 6.1118 -6.1118 7.3569 6.1118 6.1118 -7.3569" Properties=species:S:1:pos:R:3 pbc="T T T"
Pr 7.0094 -3.5755 5.2573
Pr 2.5363 -0.8977 2.0996
Pr 6.1118 0.0000 2.0000
Pr 7.0094 3.5755 -2.0996
Pr 3.9729 2.1388 0.0000
Pr 9.6872 0.8977 2.0996
Pr 3.5755 5.2141 -2.0996
Pr 3.9729 -2.1388 7.3569
Pr 0.8977 2.5363 2.0996
Pr 6.1118 0.0000 5.3569
Pr 2.5363 0.8977 5.2573
Pr 7.0094 3.5755 2.0996
Pr -0.8977 2.5363 5.2573
Pr 3.5755 5.2141 2.0996
Pr 0.0000 6.1118 2.0000
Pr 5.2141 3.5755 5.2573
Pr 2.1388 8.2506 0.0000
Pr 2.5363 0.8977 9.4566
Pr -3.5755 5.2141 5.2573
Pr 2.1388 3.9729 7.3569
Pr -0.8977 2.5363 9.4566
Pr 0.0000 6.1118 5.3569
Pr 3.5755 7.0094 5.2573
Pr -0.8977 9.6872 2.0996
In 0.0000 0.0000 0.0000
In 0.0000 0.0000 7.3569
Pt 8.2468 -2.1351 2.8746
Pt 7.6470 1.5353 0.0000
Pt 3.9767 -2.1351 4.4823
Pt 0.0000 0.0000 3.6785
Pt 3.9767 2.1351 2.8746
Pt 1.5353 4.5765 0.0000
Pt 8.2468 2.1351 4.4823
Pt -2.1351 3.9767 2.8746
Pt 4.5765 1.5353 7.3569
Pt 2.1351 3.9767 4.4823
Pt 0.0000 0.0000 11.0354
Pt 2.1351 8.2468 2.8746
Pt -1.5353 4.5765 7.3569
Pt -2.1351 8.2468 4.4823
```

Calculated values
Energy of formation ... -0.86 eV per atom
Crystal system ... tetragonal